Record 1
Computed, not measured: a relaxed Ba2FeSe3 crystal at the GGA-PBE level of DFT.

abc: 12.686 4.454 12.974
angles: 90.00 90.00 90.00
Sites, in units of the cell vectors:
Ba: 0.012 0.250 0.175
Ba: 0.176 0.250 0.519
Ba: 0.324 0.750 0.019
Ba: 0.488 0.750 0.675
Ba: 0.512 0.250 0.325
Ba: 0.676 0.250 0.981
Ba: 0.824 0.750 0.481
Ba: 0.988 0.750 0.825
Fe: 0.245 0.750 0.301
Fe: 0.255 0.250 0.801
Fe: 0.745 0.750 0.199
Fe: 0.755 0.250 0.699
Se: 0.062 0.750 0.359
Se: 0.134 0.250 0.946
Se: 0.225 0.750 0.711
Se: 0.275 0.250 0.211
Se: 0.366 0.750 0.446
Se: 0.438 0.250 0.859
Se: 0.562 0.750 0.141
Se: 0.634 0.250 0.554
Se: 0.725 0.750 0.789
Se: 0.775 0.250 0.289
Se: 0.866 0.750 0.054
Se: 0.938 0.250 0.641

The calculated volume comes out at 30.55 A^3/atom. For the formation energy from the elements, the calculation gives -1.436 eV/atom.



Record 2
Computed, not measured: a relaxed Ba4Fe3Se10 crystal at the GGA-PBE level of DFT.

abc: 8.869 8.805 12.894
angles: 90.00 112.63 90.00
Sites, in units of the cell vectors:
Ba: 0.031 0.153 0.346
Ba: 0.031 0.347 0.846
Ba: 0.440 0.122 0.166
Ba: 0.440 0.378 0.666
Ba: 0.560 0.622 0.334
Ba: 0.560 0.878 0.834
Ba: 0.969 0.653 0.154
Ba: 0.969 0.847 0.654
Fe: 0.277 0.710 0.973
Fe: 0.277 0.790 0.473
Fe: 0.500 0.000 0.500
Fe: 0.500 0.500 0.000
Fe: 0.723 0.210 0.527
Fe: 0.723 0.290 0.027
Se: 0.024 0.223 0.092
Se: 0.024 0.277 0.592
Se: 0.177 0.522 0.412
Se: 0.177 0.978 0.912
Se: 0.275 0.009 0.591
Se: 0.275 0.491 0.091
Se: 0.283 0.607 0.802
Se: 0.283 0.893 0.302
Se: 0.438 0.223 0.913
Se: 0.438 0.277 0.413
Se: 0.562 0.723 0.587
Se: 0.562 0.777 0.087
Se: 0.717 0.107 0.698
Se: 0.717 0.393 0.198
Se: 0.725 0.509 0.909
Se: 0.725 0.991 0.409
Se: 0.823 0.022 0.088
Se: 0.823 0.478 0.588
Se: 0.976 0.723 0.408
Se: 0.976 0.777 0.908

The calculated volume comes out at 27.34 A^3/atom. For the formation energy from the elements, the calculation gives -1.333 eV/atom.



Record 3
Computed, not measured: a relaxed BaGa4 crystal at the GGA-PBE level of DFT.

abc: 4.621 4.621 10.893
angles: 90.00 90.00 90.00
Sites, in units of the cell vectors:
Ba: 0.000 0.000 0.000
Ba: 0.500 0.500 0.500
Ga: 0.000 0.000 0.379
Ga: 0.000 0.000 0.621
Ga: 0.000 0.500 0.250
Ga: 0.000 0.500 0.750
Ga: 0.500 0.000 0.250
Ga: 0.500 0.000 0.750
Ga: 0.500 0.500 0.121
Ga: 0.500 0.500 0.879

The calculated volume comes out at 23.26 A^3/atom. For the formation energy from the elements, the calculation gives -0.451 eV/atom.



Record 4
Computed, not measured: a relaxed Ba10Ga crystal at the GGA-PBE level of DFT.

abc: 15.437 15.437 15.437
angles: 60.00 60.00 60.00
Sites, in units of the cell vectors:
Ba: 0.000 0.000 0.000
Ba: 0.000 0.000 0.500
Ba: 0.000 0.500 0.000
Ba: 0.054 0.333 0.333
Ba: 0.054 0.333 0.779
Ba: 0.054 0.779 0.333
Ba: 0.221 0.667 0.667
Ba: 0.221 0.667 0.946
Ba: 0.221 0.946 0.667
Ba: 0.243 0.243 0.507
Ba: 0.243 0.507 0.243
Ba: 0.243 0.507 0.507
Ba: 0.333 0.054 0.333
Ba: 0.333 0.054 0.779
Ba: 0.333 0.333 0.054
Ba: 0.333 0.333 0.779
Ba: 0.333 0.779 0.054
Ba: 0.333 0.779 0.333
Ba: 0.493 0.493 0.757
Ba: 0.493 0.757 0.493
Ba: 0.493 0.757 0.757
Ba: 0.500 0.000 0.000
Ba: 0.507 0.243 0.243
Ba: 0.507 0.243 0.507
Ba: 0.507 0.507 0.243
Ba: 0.667 0.221 0.667
Ba: 0.667 0.221 0.946
Ba: 0.667 0.667 0.221
Ba: 0.667 0.667 0.946
Ba: 0.667 0.946 0.221
Ba: 0.667 0.946 0.667
Ba: 0.757 0.493 0.493
Ba: 0.757 0.493 0.757
Ba: 0.757 0.757 0.493
Ba: 0.779 0.054 0.333
Ba: 0.779 0.333 0.054
Ba: 0.779 0.333 0.333
Ba: 0.946 0.221 0.667
Ba: 0.946 0.667 0.221
Ba: 0.946 0.667 0.667
Ga: 0.000 0.500 0.500
Ga: 0.500 0.000 0.500
Ga: 0.500 0.500 0.000
Ga: 0.500 0.500 0.500

The calculated volume comes out at 59.12 A^3/atom. For the formation energy from the elements, the calculation gives 0.055 eV/atom.



> Look up the formation energy from the elements of the fourth one.

0.055 eV/atom